Record 1
Na3MgP3H24O22 PBE relaxed; total energy = -5.457 eV per atom; energy of formation from the pure elements = -1741 meV per atom; total moment = 0.000 Bohr magnetons per cell; total energy after the MP2020 corrections = -5.743 eV per atom
1.0
14.765 0.000 0.000
0.000 9.269 0.000
-14.699 0.000 15.164
Na Mg P H O
12 4 12 96 88
Cartesian
-2.093 0.312 3.174
-9.442 4.322 10.756
-1.664 6.408 4.488
-9.013 7.495 12.070
3.654 2.184 0.944
-3.696 2.450 8.526
3.762 6.818 6.638
-3.588 7.085 14.220
9.079 1.773 3.094
1.729 2.861 10.676
9.508 4.946 4.408
2.159 8.957 11.990
-3.664 5.036 10.314
3.686 8.867 2.732
-3.620 0.401 12.432
3.730 4.233 4.850
1.606 6.683 1.375
-5.744 7.220 8.957
-3.517 6.088 7.330
-10.867 7.815 14.912
1.438 2.107 6.085
-5.912 2.527 13.667
5.978 6.742 1.497
-1.372 7.161 9.079
10.933 1.453 0.252
3.583 3.181 7.834
5.809 2.049 6.207
-1.540 2.586 13.789
-1.586 4.932 2.101
-8.935 8.971 9.683
-0.308 1.160 0.827
-7.657 3.475 8.409
-6.329 1.843 7.173
-13.678 2.791 14.755
-4.614 2.197 5.731
-11.964 2.438 13.313
-10.808 1.980 12.334
-3.458 2.654 4.752
-7.355 4.943 8.907
-0.005 8.960 1.325
-10.936 5.742 13.096
-3.586 8.161 5.514
-5.648 0.616 7.916
1.701 4.018 0.334
-8.834 1.401 11.214
-1.485 3.233 3.632
-0.074 4.799 2.475
-7.424 9.104 10.057
-2.872 0.208 6.010
-10.222 4.426 13.592
1.307 1.016 2.366
-6.043 3.618 9.948
-8.481 2.150 12.540
-1.131 2.484 4.958
-6.816 5.810 11.201
0.533 8.093 3.619
-7.074 5.045 12.523
0.275 8.857 4.941
-4.450 0.058 9.942
2.899 4.577 2.360
-1.270 1.686 6.986
-8.619 2.948 14.568
2.179 1.788 3.488
-5.171 2.846 11.070
-7.399 0.239 13.689
-0.050 4.395 6.107
-1.714 0.511 7.949
5.635 4.124 0.367
2.269 6.430 4.059
-5.080 7.472 11.641
1.440 5.694 5.230
-5.910 8.209 12.812
-0.076 5.796 6.858
-7.426 8.107 14.440
-2.834 0.026 9.909
4.515 4.608 2.327
-4.449 4.660 12.837
2.900 9.243 5.255
7.491 1.161 0.724
0.142 3.473 8.306
5.976 1.059 2.352
-1.374 3.575 9.934
5.146 1.796 3.523
-2.204 2.838 11.105
-5.570 5.145 14.797
1.780 8.758 7.215
0.116 4.873 9.057
7.465 9.030 1.475
5.236 6.423 4.094
-2.113 7.480 11.676
8.685 6.321 0.596
1.336 7.582 8.178
-2.834 4.692 12.804
4.516 9.211 5.222
-0.209 0.411 10.223
7.140 4.223 2.641
-0.467 1.175 11.545
6.882 3.459 3.963
1.197 6.784 10.206
8.547 7.119 2.624
6.108 5.651 5.216
-1.241 8.252 12.798
10.288 4.842 1.572
2.938 9.061 9.154
7.489 0.165 5.107
0.140 4.469 12.689
1.550 6.035 11.532
8.900 7.867 3.950
-1.636 5.250 14.830
5.714 8.653 7.248
3.652 1.108 9.650
11.002 3.526 2.068
0.071 0.308 13.839
7.421 4.326 6.257
3.524 6.615 10.412
10.873 7.288 2.830
12.030 6.831 1.851
4.680 7.072 9.433
13.744 6.478 0.409
6.395 7.425 7.991
7.723 5.794 6.755
0.373 8.109 14.337
9.001 0.297 5.481
1.652 4.337 13.063
-11.782 1.890 12.520
-4.433 2.745 4.938
-6.984 6.549 8.361
0.366 7.354 0.779
-0.184 0.618 1.650
-7.534 4.016 9.232
-5.457 1.369 7.293
-12.807 3.266 14.875
-0.991 4.725 2.856
-10.635 4.861 12.801
-3.286 9.042 5.219
-8.341 9.178 10.438
-3.577 5.986 5.838
-10.927 7.917 13.420
-9.118 2.170 11.783
-1.768 2.465 4.201
2.755 6.706 0.209
-4.594 7.197 7.791
1.447 5.184 1.650
-5.902 8.719 9.232
-7.528 5.613 11.850
-0.179 8.290 4.268
-3.660 4.860 8.203
3.689 9.043 0.621
-5.205 6.454 10.182
2.145 7.449 2.600
2.240 1.184 2.701
-5.109 3.450 10.283
-2.067 1.198 7.318
-9.416 3.437 14.900
-2.128 6.846 7.649
5.221 7.057 0.067
-0.032 5.387 5.967
-7.381 8.516 13.549
-7.317 1.938 13.905
0.033 2.696 6.323
-3.625 0.475 10.329
3.724 4.159 2.747
-5.121 1.835 12.556
2.229 2.799 4.974
2.360 5.849 4.860
-4.990 8.054 12.442
1.441 0.583 5.942
-5.909 4.051 13.524
5.975 5.218 1.640
-1.375 8.685 9.222
5.055 1.215 2.722
-2.294 3.419 10.304
-2.163 6.469 10.190
5.187 7.434 2.608
-3.658 5.109 12.417
3.691 8.794 4.835
0.033 6.573 8.841
7.382 7.330 1.259
7.447 0.752 1.615
0.097 3.882 9.197
-5.156 2.212 15.097
2.194 2.423 7.515
9.482 5.832 0.263
2.133 8.071 7.845
5.175 5.818 4.881
-2.175 8.085 12.462
-2.079 1.819 12.564
5.271 2.815 4.982
-3.624 0.225 14.543
3.726 4.409 6.961
0.245 0.979 10.896
7.594 3.655 3.314
5.968 0.550 5.932
-1.382 4.085 13.514
4.660 2.071 7.373
-2.689 2.563 14.955
1.834 6.804 10.963
9.184 7.099 3.381
10.993 1.351 1.744
3.643 3.283 9.326
8.407 0.091 4.726
3.352 0.226 9.945
10.701 4.408 2.363
1.057 4.543 12.308
12.872 6.003 0.288
5.523 7.900 7.870
7.600 5.252 5.932
0.250 8.651 13.514
-0.300 1.915 14.385
7.050 2.719 6.803
4.499 6.524 10.226
11.848 7.379 2.644



Record 2
YMg PBE relaxed; total energy = -3.688 eV per atom; energy of formation from the pure elements = 345 meV per atom; total moment = 0.002 Bohr magnetons per cell
1.0
0.000 3.117 3.117
3.117 0.000 3.117
3.117 3.117 0.000
Y Mg
1 1
Cartesian
0.000 0.000 0.000
3.117 3.117 3.117



Record 3
Zr6NiSn2 PBE relaxed; total energy = -7.672 eV per atom; energy of formation from the pure elements = -440 meV per atom
1.0
7.990 0.000 0.000
-3.995 6.919 0.000
0.000 0.000 3.563
Zr Ni Sn
6 1 2
Cartesian
-0.978 1.695 0.000
-2.406 4.168 1.781
1.957 0.000 0.000
1.589 2.751 1.781
4.812 0.000 1.781
3.016 5.224 0.000
0.000 0.000 1.781
0.000 4.613 0.000
3.995 2.306 0.000



Record 4
MgSi PBE relaxed; total energy = -3.455 eV per atom; energy of formation from the pure elements = 94 meV per atom; total moment = 0.021 Bohr magnetons per cell; total energy after the MP2020 corrections = -3.419 eV per atom
1.0
4.751 0.000 0.000
-1.526 5.062 0.000
-2.274 -1.482 9.687
Mg Si
6 6
Cartesian
-0.745 0.372 2.405
-0.792 0.801 5.470
0.049 3.698 1.365
0.902 -0.118 8.323
1.743 2.779 4.217
1.696 3.208 7.282
-1.488 1.080 8.105
0.877 1.093 0.326
-0.649 3.544 5.721
1.600 0.035 3.967
0.074 2.487 9.362
2.439 2.500 1.583



Record 5
RbMgBr3O6 PBE relaxed; total energy = -3.768 eV per atom; energy of formation from the pure elements = -762 meV per atom; energy relative to the lowest polymorph listed for this composition = 99 meV/atom; total moment = 0.000 Bohr magnetons per cell; total energy after the MP2020 corrections = -4.142 eV per atom
1.0
6.170 -2.949 0.000
6.170 2.949 0.000
-5.871 0.000 13.721
Rb Mg Br O
2 2 6 12
Cartesian
1.767 1.626 10.291
4.702 -1.626 3.430
6.170 0.000 0.000
3.234 0.000 6.861
0.000 0.000 0.000
-2.935 0.000 6.861
2.143 1.661 4.130
7.262 1.661 2.730
-0.793 -1.661 10.991
4.326 -1.661 9.591
4.954 1.728 0.312
2.133 1.687 7.461
1.401 1.687 13.120
4.450 1.728 6.549
2.859 0.172 4.794
-0.077 -0.172 11.654
6.545 0.172 2.067
3.610 -0.172 8.927
2.018 -1.728 7.172
5.068 -1.687 0.601
4.336 -1.687 6.260
1.515 -1.728 13.409



Record 6
TaN PBE relaxed; total energy = -10.818 eV per atom; energy of formation from the pure elements = -901 meV per atom; total moment = 0.000 Bohr magnetons per cell; total energy after the MP2020 corrections = -10.998 eV per atom
1.0
5.263 0.000 0.000
-2.632 4.558 0.000
0.000 0.000 2.931
Ta N
3 3
Cartesian
0.000 0.000 0.000
0.000 3.039 1.466
2.632 1.519 1.466
-1.316 2.279 0.000
2.632 0.000 0.000
1.316 2.279 0.000



> Among the records above, which one has the highest total energy?

MgSi



> Look up the total energy of the second one.

-3.688 eV per atom